Entry one
DFT (PBE+U) results for a geometry-optimized Li3TiV3O8 structure.

abc: 5.9153 5.9153 9.6687
angles: 90.00 90.00 120.00
Sites, in units of the cell vectors:
Li1 0.1725 0.3451 0.0000
Li2 0.1725 0.8275 0.0000
Li3 0.3451 0.1725 0.5000
Li4 0.6549 0.8275 0.0000
Li5 0.8275 0.1725 0.5000
Li6 0.8275 0.6549 0.5000
Ti1 0.3333 0.6667 0.4472
Ti2 0.6667 0.3333 0.9472
V1 0.1693 0.3385 0.7279
V2 0.1693 0.8307 0.7279
V3 0.3385 0.1693 0.2279
V4 0.6615 0.8307 0.7279
V5 0.8307 0.1693 0.2279
V6 0.8307 0.6615 0.2279
O1 0.0000 0.0000 0.1202
O2 0.0000 0.0000 0.6202
O3 0.0358 0.5179 0.5959
O4 0.1669 0.3339 0.3535
O5 0.1669 0.8331 0.3535
O6 0.3333 0.6667 0.8424
O7 0.3339 0.1669 0.8535
O8 0.4821 0.5179 0.5959
O9 0.4821 0.9642 0.5959
O10 0.5179 0.0358 0.0959
O11 0.5179 0.4821 0.0959
O12 0.6661 0.8331 0.3535
O13 0.6667 0.3333 0.3424
O14 0.8331 0.1669 0.8535
O15 0.8331 0.6661 0.8535
O16 0.9642 0.4821 0.0959

Values from the calculation:
Density (g/cm³): 3.962
Size of the total moment (μB per formula unit): 6.00


Entry two
DFT (PBE+U) results for a geometry-optimized Li3TiV3O8 structure.

abc: 4.0821 6.5116 13.0004
angles: 102.12 99.02 71.75
Sites, in units of the cell vectors:
O1 0.5608 0.0599 0.1849
O2 0.1228 0.0924 0.3418
O3 0.1228 0.5925 0.8419
O4 0.2247 0.2113 0.6643
O5 0.4345 0.4491 0.3220
O6 0.4345 0.9489 0.8218
O7 0.7741 0.7744 0.3264
O8 0.6493 0.6983 0.0000
O9 0.7742 0.2742 0.8263
O10 0.8821 0.3974 0.1649
O11 0.2248 0.7109 0.1642
O12 0.3389 0.8121 0.4943
O13 0.8820 0.8972 0.6649
O14 0.3390 0.3117 0.9941
O15 0.5609 0.5597 0.6850
O16 0.6494 0.1981 0.5001
Li1 0.1751 0.1489 0.5023
Li2 0.0605 0.5557 0.6799
Li3 0.0604 0.0557 0.1799
Li4 0.9392 0.9382 0.8205
Li5 0.1752 0.6486 0.0022
Li6 0.9391 0.4383 0.3205
V1 0.6096 0.6244 0.8477
V2 0.7100 0.7257 0.1492
V3 0.6097 0.1244 0.3477
V4 0.3905 0.8706 0.6544
V5 0.3907 0.3705 0.1544
V6 0.7101 0.2256 0.6493
Ti1 0.2956 0.2610 0.8566
Ti2 0.2959 0.7610 0.3567

Values from the calculation:
Density (g/cm³): 3.635
Size of the total moment (μB per formula unit): 0.00


Sorted by energy, starting with the most stable: entry one, entry two.


Entry one
DFT (PBE+U) results for a geometry-optimized Li7Mn7P6O24F3 structure.

abc: 13.7368 13.7368 6.5230
angles: 90.00 90.00 120.00
Sites, in units of the cell vectors:
Li1 0.0766 0.8182 0.0000
Li2 0.1262 0.6256 0.4985
Li3 0.1818 0.2584 0.0000
Li4 0.2584 0.0766 0.5000
Li5 0.3333 0.6667 0.3264
Li6 0.3744 0.5006 0.4985
Li7 0.4994 0.8738 0.4985
Li8 0.5006 0.1262 0.9985
Li9 0.6256 0.4994 0.9985
Li10 0.6667 0.3333 0.8264
Li11 0.7416 0.9234 0.0000
Li12 0.8182 0.7416 0.5000
Li13 0.8738 0.3744 0.9985
Li14 0.9234 0.1818 0.5000
Mn1 0.0000 0.0000 0.2488
Mn2 0.0000 0.0000 0.7488
Mn3 0.1187 0.4165 0.2432
Mn4 0.1262 0.4233 0.7459
Mn5 0.2971 0.8738 0.7459
Mn6 0.2978 0.8813 0.2432
Mn7 0.4165 0.2978 0.7432
Mn8 0.4233 0.2971 0.2459
Mn9 0.5767 0.7029 0.7459
Mn10 0.5835 0.7022 0.2432
Mn11 0.7022 0.1187 0.7432
Mn12 0.7029 0.1262 0.2459
Mn13 0.8738 0.5767 0.2459
Mn14 0.8813 0.5835 0.7432
P1 0.0620 0.8175 0.4970
P2 0.1175 0.6327 0.9956
P3 0.1825 0.2446 0.4970
P4 0.2446 0.0620 0.9970
P5 0.3673 0.4848 0.9956
P6 0.4848 0.1175 0.4956
P7 0.5152 0.8825 0.9956
P8 0.6327 0.5152 0.4956
P9 0.7554 0.9380 0.4970
P10 0.8175 0.7554 0.9970
P11 0.8825 0.3673 0.4956
P12 0.9380 0.1825 0.9970
O1 0.0035 0.6348 0.0035
O2 0.0070 0.3154 0.9951
O3 0.0133 0.1258 0.9981
O4 0.1125 0.9867 0.9981
O5 0.1174 0.5719 0.7961
O6 0.1258 0.1125 0.4981
O7 0.1304 0.5763 0.1925
O8 0.1344 0.8555 0.3009
O9 0.1346 0.8540 0.6925
O10 0.1445 0.2789 0.3009
O11 0.1460 0.2806 0.6925
O12 0.2149 0.7564 0.9933
O13 0.2436 0.4584 0.9933
O14 0.2789 0.1344 0.8009
O15 0.2806 0.1346 0.1925
O16 0.3084 0.9930 0.9951
O17 0.3154 0.3084 0.4951
O18 0.3652 0.3687 0.0035
O19 0.3687 0.0035 0.5035
O20 0.4237 0.5540 0.1925
O21 0.4281 0.5455 0.7961
O22 0.4460 0.8696 0.1925
O23 0.4545 0.8826 0.7961
O24 0.4584 0.2149 0.4933
O25 0.5416 0.7851 0.9933
O26 0.5455 0.1174 0.2961
O27 0.5540 0.1304 0.6925
O28 0.5719 0.4545 0.2961
O29 0.5763 0.4460 0.6925
O30 0.6313 0.9965 0.0035
O31 0.6348 0.6313 0.5035
O32 0.6846 0.6916 0.9951
O33 0.6916 0.0070 0.4951
O34 0.7194 0.8654 0.6925
O35 0.7211 0.8656 0.3009
O36 0.7564 0.5416 0.4933
O37 0.7851 0.2436 0.4933
O38 0.8540 0.7194 0.1925
O39 0.8555 0.7211 0.8009
O40 0.8654 0.1460 0.1925
O41 0.8656 0.1445 0.8009
O42 0.8696 0.4237 0.6925
O43 0.8742 0.8875 0.9981
O44 0.8826 0.4281 0.2961
O45 0.8875 0.0133 0.4981
O46 0.9867 0.8742 0.4981
O47 0.9930 0.6846 0.4951
O48 0.9965 0.3652 0.5035
F1 0.2440 0.5184 0.4805
F2 0.2745 0.7560 0.4805
F3 0.4816 0.7255 0.4805
F4 0.5184 0.2745 0.9805
F5 0.7255 0.2440 0.9805
F6 0.7560 0.4816 0.9805

Values from the calculation:
Density (g/cm³): 3.302
Size of the total moment (μB per formula unit): 35.00


Entry two
DFT (PBE+U) results for a geometry-optimized Li7Mn7P6O24F3 structure.

abc: 13.6039 13.6039 6.5122
angles: 90.00 90.00 120.00
Sites, in units of the cell vectors:
Li1 0.0000 0.0000 0.0000
Li2 0.0000 0.0000 0.5000
Li3 0.1269 0.7100 0.0258
Li4 0.1308 0.7074 0.4995
Li5 0.2900 0.4169 0.0258
Li6 0.2926 0.4234 0.4995
Li7 0.4169 0.1269 0.5258
Li8 0.4234 0.1308 0.9995
Li9 0.5766 0.8692 0.4995
Li10 0.5831 0.8731 0.0258
Li11 0.7074 0.5766 0.9995
Li12 0.7100 0.5831 0.5258
Li13 0.8692 0.2926 0.9995
Li14 0.8731 0.2900 0.5258
Mn1 0.0659 0.2558 0.2571
Mn2 0.1061 0.5004 0.7573
Mn3 0.1899 0.9341 0.2571
Mn4 0.2558 0.1899 0.7571
Mn5 0.3333 0.6667 0.9976
Mn6 0.3943 0.8939 0.7573
Mn7 0.5004 0.3943 0.2573
Mn8 0.4996 0.6057 0.7573
Mn9 0.6057 0.1061 0.2573
Mn10 0.6667 0.3333 0.4976
Mn11 0.7442 0.8101 0.2571
Mn12 0.8101 0.0659 0.7571
Mn13 0.8939 0.4996 0.2573
Mn14 0.9341 0.7442 0.7571
P1 0.0649 0.2506 0.7565
P2 0.1192 0.4885 0.2628
P3 0.1857 0.9351 0.7565
P4 0.2506 0.1857 0.2565
P5 0.3693 0.8808 0.2628
P6 0.4885 0.3693 0.7628
P7 0.5115 0.6307 0.2628
P8 0.6307 0.1192 0.7628
P9 0.7494 0.8143 0.7565
P10 0.8143 0.0649 0.2565
P11 0.8808 0.5115 0.7628
P12 0.9351 0.7494 0.2565
O1 0.0007 0.6815 0.2525
O2 0.0019 0.3765 0.2462
O3 0.0142 0.8810 0.2568
O4 0.1154 0.5540 0.4539
O5 0.1190 0.1332 0.2568
O6 0.1332 0.0142 0.7568
O7 0.1397 0.5650 0.0670
O8 0.1407 0.2845 0.9504
O9 0.1410 0.8572 0.5658
O10 0.1428 0.2837 0.5658
O11 0.1438 0.8593 0.9504
O12 0.2142 0.4592 0.2691
O13 0.2450 0.7858 0.2691
O14 0.2837 0.1410 0.0658
O15 0.2845 0.1438 0.4504
O16 0.3185 0.3192 0.2525
O17 0.3192 0.0007 0.7525
O18 0.3746 0.9981 0.2462
O19 0.3765 0.3746 0.7462
O20 0.4252 0.8603 0.0670
O21 0.4350 0.5748 0.0670
O22 0.4385 0.8846 0.4539
O23 0.4460 0.5615 0.4539
O24 0.4592 0.2450 0.7691
O25 0.5408 0.7550 0.2691
O26 0.5540 0.4385 0.9539
O27 0.5615 0.1154 0.9539
O28 0.5650 0.4252 0.5670
O29 0.5748 0.1397 0.5670
O30 0.6235 0.6254 0.2462
O31 0.6254 0.0019 0.7462
O32 0.6808 0.9993 0.2525
O33 0.6815 0.6808 0.7525
O34 0.7155 0.8562 0.9504
O35 0.7163 0.8590 0.5658
O36 0.7550 0.2142 0.7691
O37 0.7858 0.5408 0.7691
O38 0.8562 0.1407 0.4504
O39 0.8572 0.7163 0.0658
O40 0.8590 0.1428 0.0658
O41 0.8593 0.7155 0.4504
O42 0.8603 0.4350 0.5670
O43 0.8668 0.9858 0.2568
O44 0.8810 0.8668 0.7568
O45 0.8846 0.4460 0.9539
O46 0.9858 0.1190 0.7568
O47 0.9981 0.6235 0.7462
O48 0.9993 0.3185 0.7525
F1 0.2500 0.7269 0.7843
F2 0.2731 0.5231 0.7843
F3 0.4769 0.7500 0.7843
F4 0.5231 0.2500 0.2843
F5 0.7269 0.4769 0.2843
F6 0.7500 0.2731 0.2843

Values from the calculation:
Density (g/cm³): 3.373
Size of the total moment (μB per formula unit): 35.00


Sorted by energy, starting with the most stable: entry one, entry two.


Entry one
DFT (PBE+U) results for a geometry-optimized Li4Cr3NiO8 structure.

abc: 5.1006 5.1108 5.8783
angles: 90.11 106.67 99.53
Sites, in units of the cell vectors:
Li1 0.0003 0.2460 0.3776
Li2 0.9997 0.7540 0.6224
Li3 0.0053 0.7520 0.1283
Li4 0.9947 0.2480 0.8717
Cr1 0.4984 0.4973 0.2521
Cr2 0.5000 0.0000 0.0000
Cr3 0.5016 0.5027 0.7479
Ni1 0.5000 0.0000 0.5000
O1 0.2698 0.6181 0.4448
O2 0.2714 0.1354 0.1866
O3 0.2772 0.1309 0.6960
O4 0.2767 0.6300 0.9459
O5 0.7233 0.3700 0.0541
O6 0.7228 0.8691 0.3040
O7 0.7286 0.8646 0.8134
O8 0.7302 0.3819 0.5552

Values from the calculation:
Density (g/cm³): 4.255
Size of the total moment (μB per formula unit): 12.00


Entry two
DFT (PBE+U) results for a geometry-optimized Li4Cr3NiO8 structure.

abc: 5.1099 5.8905 10.2061
angles: 89.83 80.39 73.00
Sites, in units of the cell vectors:
Li1 0.0000 0.0000 0.0000
Li2 0.0000 0.0000 0.5000
Li3 0.0000 0.5000 0.0000
Li4 0.0000 0.5000 0.5000
Li5 0.0007 0.2546 0.2462
Li6 0.0038 0.7430 0.2497
Li7 0.9962 0.2570 0.7503
Li8 0.9993 0.7454 0.7538
Cr1 0.4992 0.1259 0.3737
Cr2 0.4995 0.1287 0.8777
Cr3 0.4995 0.3761 0.6267
Cr4 0.5005 0.6239 0.3733
Cr5 0.5005 0.8713 0.1223
Cr6 0.5008 0.8741 0.6263
Ni1 0.4990 0.3751 0.1253
Ni2 0.5010 0.6249 0.8747
O1 0.2668 0.1746 0.0567
O2 0.2669 0.4252 0.8086
O3 0.2696 0.4350 0.3148
O4 0.2744 0.6825 0.5607
O5 0.2740 0.9314 0.3087
O6 0.2764 0.1812 0.5603
O7 0.2770 0.6859 0.0638
O8 0.2789 0.9351 0.8113
O9 0.7211 0.0649 0.1887
O10 0.7230 0.3141 0.9362
O11 0.7236 0.8188 0.4397
O12 0.7260 0.0686 0.6913
O13 0.7256 0.3175 0.4393
O14 0.7304 0.5650 0.6852
O15 0.7331 0.5748 0.1914
O16 0.7332 0.8254 0.9433

Values from the calculation:
Density (g/cm³): 4.252
Size of the total moment (μB per formula unit): 10.00


Sorted by energy, starting with the most stable: entry two, entry one.


Entry one
DFT (PBE+U) results for a geometry-optimized Li7Co5O12 structure.

abc: 6.4812 6.4919 10.0181
angles: 82.52 82.95 83.37
Sites, in units of the cell vectors:
Li1 0.0000 0.0000 0.0000
Li2 0.0014 0.0047 0.5031
Li3 0.1705 0.8443 0.7489
Li4 0.1775 0.8369 0.2541
Li5 0.3508 0.6755 0.9990
Li6 0.3544 0.6704 0.5064
Li7 0.5205 0.5135 0.2580
Li8 0.5228 0.5159 0.7529
Li9 0.6808 0.3388 0.0015
Li10 0.6819 0.3489 0.5098
Li11 0.7621 0.7556 0.3820
Li12 0.7645 0.7591 0.8740
Li13 0.8462 0.1635 0.7524
Li14 0.8481 0.1732 0.2516
Co1 0.0800 0.4299 0.8753
Co2 0.0903 0.4316 0.3788
Co3 0.2604 0.2579 0.6260
Co4 0.2649 0.2573 0.1259
Co5 0.4377 0.0737 0.8742
Co6 0.4484 0.0790 0.3793
Co7 0.5971 0.9227 0.6287
Co8 0.6023 0.9199 0.1298
Co9 0.9257 0.5951 0.1271
Co10 0.9274 0.5934 0.6251
O1 0.0501 0.6974 0.9586
O2 0.0526 0.6874 0.4451
O3 0.1504 0.1451 0.8000
O4 0.1513 0.1572 0.3157
O5 0.1943 0.5438 0.1979
O6 0.2093 0.5269 0.6839
O7 0.3148 0.9870 0.5686
O8 0.3293 0.9670 0.0698
O9 0.3588 0.3734 0.4467
O10 0.3700 0.3667 0.9441
O11 0.4699 0.8137 0.8088
O12 0.4769 0.8138 0.3024
O13 0.5351 0.2057 0.6859
O14 0.5518 0.1951 0.1905
O15 0.6489 0.6470 0.5725
O16 0.6578 0.6407 0.0784
O17 0.7025 0.0526 0.4495
O18 0.7037 0.0400 0.9540
O19 0.8234 0.4663 0.8063
O20 0.8346 0.4687 0.3084
O21 0.8708 0.8703 0.1827
O22 0.8763 0.8694 0.6812
O23 0.9741 0.3193 0.0668
O24 0.9880 0.3180 0.5593

Values from the calculation:
Density (g/cm³): 4.308
Size of the total moment (μB per formula unit): 4.22


Entry two
DFT (PBE+U) results for a geometry-optimized Li7Co5O12 structure.

abc: 4.9668 2.9762 14.4270
angles: 90.00 92.22 90.00
Sites, in units of the cell vectors:
Li1 0.0000 0.0000 0.0000
Li2 0.0000 0.0000 0.5000
Li3 0.1532 0.5000 0.1618
Li4 0.3327 0.0000 0.8390
Li5 0.5000 0.5000 0.5000
Li6 0.6673 0.0000 0.1610
Li7 0.8468 0.5000 0.8382
Co1 0.1684 0.5000 0.6691
Co2 0.3322 0.0000 0.3314
Co3 0.5000 0.5000 0.0000
Co4 0.6678 0.0000 0.6686
Co5 0.8316 0.5000 0.3309
O1 0.0094 0.0000 0.2521
O2 0.1606 0.5000 0.4085
O3 0.2051 0.5000 0.9261
O4 0.3386 0.0000 0.5904
O5 0.3524 0.0000 0.0712
O6 0.4931 0.5000 0.7456
O7 0.5069 0.5000 0.2544
O8 0.6476 0.0000 0.9288
O9 0.6614 0.0000 0.4096
O10 0.7949 0.5000 0.0739
O11 0.8394 0.5000 0.5915
O12 0.9906 0.0000 0.7479

Values from the calculation:
Density (g/cm³): 4.171
Size of the total moment (μB per formula unit): 0.01


Sorted by energy, starting with the most stable: entry one, entry two.